# PBE with a Hubbard U MgMnZn2WO6, relaxed
# M_tot ... 0.64 μB per atom
# Excess energy over the best structure of this formula in the dataset ... 25.5 meV/atom
data_MgMnZn2WO6
_cell_length_a 5.296
_cell_length_b 5.352
_cell_length_c 5.427
_cell_angle_alpha 67.05
_cell_angle_beta 76.11
_cell_angle_gamma 76.71
_space_group_name_H-M_alt 'P 1'
_space_group_IT_number 1
loop_
_space_group_symop_operation_xyz
'x,y,z'
loop_
_atom_site_label
_atom_site_type_symbol
_atom_site_fract_x
_atom_site_fract_y
_atom_site_fract_z
_atom_site_occupancy
Mg1 Mg 0.000 0.000 0.000 1
Mn1 Mn 0.545 0.151 0.627 1
Zn1 Zn 0.019 0.627 0.658 1
Zn2 Zn 0.515 0.813 0.331 1
W1 W 0.456 0.523 0.973 1
O1 O 0.223 0.676 0.264 1
O2 O 0.230 0.295 0.913 1
O3 O 0.257 0.875 0.694 1
O4 O 0.669 0.154 0.225 1
O5 O 0.708 0.486 0.624 1
O6 O 0.725 0.794 0.930 1


# PBE with a Hubbard U Y2MgMn2O6, relaxed
# M_tot ... 0.91 μB per atom
data_Y2MgMn2O6
_cell_length_a 6.156
_cell_length_b 3.538
_cell_length_c 14.013
_cell_angle_alpha 90.00
_cell_angle_beta 90.19
_cell_angle_gamma 90.00
_space_group_name_H-M_alt 'C 1 m 1'
_space_group_IT_number 8
loop_
_space_group_symop_operation_xyz
'x,y,z'
'x,-y,z'
'x+1/2,y+1/2,z'
'x+1/2,-y+1/2,z'
loop_
_atom_site_label
_atom_site_type_symbol
_atom_site_fract_x
_atom_site_fract_y
_atom_site_fract_z
_atom_site_occupancy
Y1 Y 0.000 0.000 0.000 1
Y2 Y 0.002 0.000 0.423 1
Mg1 Mg 0.166 0.500 0.815 1
Mn1 Mn 0.168 0.500 0.201 1
Mn2 Mn 0.336 0.000 0.649 1
O1 O 0.001 0.000 0.167 1
O2 O 0.004 0.000 0.710 1
O3 O 0.168 0.500 0.028 1
O4 O 0.169 0.500 0.354 1
O5 O 0.335 0.000 0.872 1
O6 O 0.336 0.000 0.507 1


# PBE with a Hubbard U MgMn4Zn2O8, relaxed
# M_tot ... 0.61 μB per atom
# Excess energy over the best structure of this formula in the dataset ... 4.8 meV/atom
data_MgMn4Zn2O8
_cell_length_a 5.937
_cell_length_b 6.128
_cell_length_c 6.258
_cell_angle_alpha 116.83
_cell_angle_beta 90.58
_cell_angle_gamma 118.10
_space_group_name_H-M_alt 'P -1'
_space_group_IT_number 2
loop_
_space_group_symop_operation_xyz
'x,y,z'
'-x,-y,-z'
loop_
_atom_site_label
_atom_site_type_symbol
_atom_site_fract_x
_atom_site_fract_y
_atom_site_fract_z
_atom_site_occupancy
Mg1 Mg 0.000 0.000 0.000 1
Mn1 Mn 0.000 0.500 0.000 1
Mn2 Mn 0.500 0.000 0.000 1
Mn3 Mn 0.500 0.000 0.500 1
Mn4 Mn 0.500 0.500 0.000 1
Zn1 Zn 0.136 0.289 0.458 1
O1 O 0.226 0.474 0.215 1
O2 O 0.249 0.008 0.244 1
O3 O 0.251 0.004 0.764 1
O4 O 0.258 0.534 0.809 1


# PBE with a Hubbard U Mg14MnZnO16, relaxed
# M_tot ... 0.16 μB per atom
data_Mg14MnZnO16
_cell_length_a 4.285
_cell_length_b 8.547
_cell_length_c 8.572
_cell_angle_alpha 90.00
_cell_angle_beta 90.00
_cell_angle_gamma 90.00
_space_group_name_H-M_alt 'P m m m'
_space_group_IT_number 47
loop_
_space_group_symop_operation_xyz
'x,y,z'
'-x,-y,-z'
'-x,-y,z'
'x,y,-z'
'x,-y,-z'
'-x,y,z'
'-x,y,-z'
'x,-y,z'
loop_
_atom_site_label
_atom_site_type_symbol
_atom_site_fract_x
_atom_site_fract_y
_atom_site_fract_z
_atom_site_occupancy
Mg1 Mg 0.000 0.000 0.000 1
Mg2 Mg 0.000 0.249 0.249 1
Mg3 Mg 0.000 0.500 0.000 1
Mg4 Mg 0.500 0.000 0.250 1
Mg5 Mg 0.500 0.247 0.500 1
Mg6 Mg 0.500 0.250 0.000 1
Mg7 Mg 0.500 0.500 0.248 1
Mn1 Mn 0.000 0.500 0.500 1
Zn1 Zn 0.000 0.000 0.500 1
O1 O 0.000 0.000 0.244 1
O2 O 0.000 0.245 0.500 1
O3 O 0.000 0.250 0.000 1
O4 O 0.000 0.500 0.242 1
O5 O 0.500 0.000 0.000 1
O6 O 0.500 0.000 0.500 1
O7 O 0.500 0.250 0.251 1
O8 O 0.500 0.500 0.000 1
O9 O 0.500 0.500 0.500 1


# PBE with a Hubbard U MgMn4Zn2O8, relaxed
# M_tot ... 1.20 μB per atom
# Excess energy over the best structure of this formula in the dataset ... 8.7 meV/atom
data_MgMn4Zn2O8
_cell_length_a 2.999
_cell_length_b 8.043
_cell_length_c 8.310
_cell_angle_alpha 81.96
_cell_angle_beta 82.44
_cell_angle_gamma 88.36
_space_group_name_H-M_alt 'P -1'
_space_group_IT_number 2
loop_
_space_group_symop_operation_xyz
'x,y,z'
'-x,-y,-z'
loop_
_atom_site_label
_atom_site_type_symbol
_atom_site_fract_x
_atom_site_fract_y
_atom_site_fract_z
_atom_site_occupancy
Mg1 Mg 0.000 0.000 0.000 1
Mn1 Mn 0.319 0.971 0.335 1
Mn2 Mn 0.322 0.343 0.881 1
Zn1 Zn 0.320 0.696 0.777 1
O1 O 0.131 0.148 0.758 1
O2 O 0.170 0.475 0.178 1
O3 O 0.220 0.884 0.602 1
O4 O 0.472 0.156 0.068 1


# PBE with a Hubbard U Mg6MnZnO8, relaxed
# M_tot ... 0.31 μB per atom
data_Mg6MnZnO8
_cell_length_a 4.309
_cell_length_b 4.309
_cell_length_c 8.603
_cell_angle_alpha 90.00
_cell_angle_beta 90.00
_cell_angle_gamma 90.00
_space_group_name_H-M_alt 'P 4/m m m'
_space_group_IT_number 123
_space_group_name_Hall '-P 4 2'
loop_
_atom_site_label
_atom_site_type_symbol
_atom_site_fract_x
_atom_site_fract_y
_atom_site_fract_z
_atom_site_occupancy
Mg1 Mg 0.000 0.000 0.000 1
Mg2 Mg 0.000 0.500 0.248 1
Mg3 Mg 0.500 0.500 0.000 1
Mn1 Mn 0.000 0.000 0.500 1
Zn1 Zn 0.500 0.500 0.500 1
O1 O 0.000 0.000 0.243 1
O2 O 0.000 0.500 0.000 1
O3 O 0.000 0.500 0.500 1
O4 O 0.500 0.500 0.248 1


# PBE with a Hubbard U MgMn4Zn2O8, relaxed
# M_tot ... 1.20 μB per atom
# Excess energy over the best structure of this formula in the dataset ... 50.7 meV/atom
data_MgMn4Zn2O8
_cell_length_a 2.969
_cell_length_b 7.651
_cell_length_c 8.693
_cell_angle_alpha 113.91
_cell_angle_beta 99.74
_cell_angle_gamma 90.06
_space_group_name_H-M_alt 'P -1'
_space_group_IT_number 2
loop_
_space_group_symop_operation_xyz
'x,y,z'
'-x,-y,-z'
loop_
_atom_site_label
_atom_site_type_symbol
_atom_site_fract_x
_atom_site_fract_y
_atom_site_fract_z
_atom_site_occupancy
Mg1 Mg 0.000 0.000 0.000 1
Mn1 Mn 0.236 0.308 0.477 1
Mn2 Mn 0.380 0.150 0.752 1
Zn1 Zn 0.089 0.393 0.179 1
O1 O 0.138 0.036 0.281 1
O2 O 0.142 0.696 0.292 1
O3 O 0.324 0.595 0.645 1
O4 O 0.491 0.792 0.985 1


# PBE with a Hubbard U MgMn4Zn2O8, relaxed
# M_tot ... 1.20 μB per atom
# Excess energy over the best structure of this formula in the dataset ... 40.4 meV/atom
data_MgMn4Zn2O8
_cell_length_a 2.977
_cell_length_b 5.375
_cell_length_c 11.986
_cell_angle_alpha 85.98
_cell_angle_beta 87.81
_cell_angle_gamma 74.89
_space_group_name_H-M_alt 'P 1'
_space_group_IT_number 1
loop_
_space_group_symop_operation_xyz
'x,y,z'
loop_
_atom_site_label
_atom_site_type_symbol
_atom_site_fract_x
_atom_site_fract_y
_atom_site_fract_z
_atom_site_occupancy
Mg1 Mg 0.000 0.000 0.000 1
Mn1 Mn 0.484 0.977 0.226 1
Mn2 Mn 0.583 0.864 0.771 1
Mn3 Mn 0.696 0.450 0.357 1
Mn4 Mn 0.852 0.377 0.648 1
Zn1 Zn 0.107 0.876 0.534 1
Zn2 Zn 0.225 0.513 0.118 1
O1 O 0.124 0.678 0.275 1
O2 O 0.201 0.632 0.722 1
O3 O 0.301 0.198 0.364 1
O4 O 0.498 0.099 0.616 1
O5 O 0.596 0.779 0.058 1
O6 O 0.717 0.632 0.500 1
O7 O 0.861 0.235 0.126 1
O8 O 0.986 0.049 0.838 1


# PBE with a Hubbard U MgMn12Zn6O24, relaxed
# M_tot ... 1.16 μB per atom
data_MgMn12Zn6O24
_cell_length_a 5.992
_cell_length_b 6.186
_cell_length_c 14.995
_cell_angle_alpha 93.65
_cell_angle_beta 92.13
_cell_angle_gamma 117.55
_space_group_name_H-M_alt 'P 1'
_space_group_IT_number 1
loop_
_space_group_symop_operation_xyz
'x,y,z'
loop_
_atom_site_label
_atom_site_type_symbol
_atom_site_fract_x
_atom_site_fract_y
_atom_site_fract_z
_atom_site_occupancy
Mg1 Mg 0.000 0.000 0.000 1
Mn1 Mn 0.110 0.815 0.175 1
Mn2 Mn 0.122 0.323 0.174 1
Mn3 Mn 0.306 0.160 0.335 1
Mn4 Mn 0.331 0.174 0.706 1
Mn5 Mn 0.358 0.695 0.831 1
Mn6 Mn 0.477 0.978 0.498 1
Mn7 Mn 0.480 0.484 0.499 1
Mn8 Mn 0.545 0.798 0.048 1
Mn9 Mn 0.619 0.315 0.165 1
Mn10 Mn 0.855 0.682 0.825 1
Mn11 Mn 0.860 0.184 0.825 1
Mn12 Mn 0.975 0.976 0.498 1
Zn1 Zn 0.403 0.205 0.927 1
Zn2 Zn 0.632 0.824 0.291 1
Zn3 Zn 0.655 0.827 0.662 1
Zn4 Zn 0.961 0.485 0.378 1
Zn5 Zn 0.967 0.484 0.004 1
Zn6 Zn 0.996 0.487 0.617 1
O1 O 0.048 0.513 0.754 1
O2 O 0.138 0.307 0.923 1
O3 O 0.152 0.845 0.420 1
O4 O 0.168 0.319 0.415 1
O5 O 0.172 0.834 0.910 1
O6 O 0.233 0.617 0.107 1
O7 O 0.307 0.133 0.569 1
O8 O 0.324 0.160 0.079 1
O9 O 0.339 0.652 0.573 1
O10 O 0.433 0.992 0.249 1
O11 O 0.451 0.466 0.239 1
O12 O 0.524 0.541 0.760 1
O13 O 0.539 0.014 0.756 1
O14 O 0.608 0.309 0.417 1
O15 O 0.650 0.832 0.423 1
O16 O 0.662 0.846 0.918 1
O17 O 0.736 0.386 0.895 1
O18 O 0.795 0.648 0.575 1
O19 O 0.806 0.124 0.574 1
O20 O 0.811 0.175 0.090 1
O21 O 0.836 0.704 0.079 1
O22 O 0.922 0.485 0.244 1
O23 O 0.979 0.979 0.760 1
O24 O 0.999 0.024 0.245 1


# PBE with a Hubbard U MgMn4Zn2O8, relaxed
# M_tot ... 1.20 μB per atom
# Excess energy over the best structure of this formula in the dataset ... 10.9 meV/atom
data_MgMn4Zn2O8
_cell_length_a 3.041
_cell_length_b 8.028
_cell_length_c 8.454
_cell_angle_alpha 94.79
_cell_angle_beta 97.18
_cell_angle_gamma 96.77
_space_group_name_H-M_alt 'P 1'
_space_group_IT_number 1
loop_
_space_group_symop_operation_xyz
'x,y,z'
loop_
_atom_site_label
_atom_site_type_symbol
_atom_site_fract_x
_atom_site_fract_y
_atom_site_fract_z
_atom_site_occupancy
Mg1 Mg 0.000 0.000 0.000 1
Mn1 Mn 0.137 0.340 0.129 1
Mn2 Mn 0.246 0.847 0.645 1
Mn3 Mn 0.563 0.049 0.338 1
Mn4 Mn 0.733 0.571 0.824 1
Zn1 Zn 0.156 0.451 0.450 1
Zn2 Zn 0.551 0.703 0.191 1
O1 O 0.102 0.865 0.186 1
O2 O 0.118 0.209 0.374 1
O3 O 0.182 0.566 0.662 1
O4 O 0.274 0.540 0.977 1
O5 O 0.563 0.157 0.047 1
O6 O 0.629 0.502 0.299 1
O7 O 0.706 0.889 0.505 1
O8 O 0.804 0.849 0.804 1


# PBE with a Hubbard U MgMn4Zn2O8, relaxed
# M_tot ... 0.53 μB per atom
# Excess energy over the best structure of this formula in the dataset ... 87.4 meV/atom
data_MgMn4Zn2O8
_cell_length_a 10.588
_cell_length_b 6.614
_cell_length_c 6.066
_cell_angle_alpha 90.00
_cell_angle_beta 124.88
_cell_angle_gamma 90.00
_space_group_name_H-M_alt 'C 1 m 1'
_space_group_IT_number 8
loop_
_space_group_symop_operation_xyz
'x,y,z'
'x,-y,z'
'x+1/2,y+1/2,z'
'x+1/2,-y+1/2,z'
loop_
_atom_site_label
_atom_site_type_symbol
_atom_site_fract_x
_atom_site_fract_y
_atom_site_fract_z
_atom_site_occupancy
Mg1 Mg 0.000 0.000 0.000 1
Mn1 Mn 0.130 0.500 0.129 1
Mn2 Mn 0.187 0.500 0.686 1
Mn3 Mn 0.248 0.000 0.507 1
Mn4 Mn 0.249 0.000 0.989 1
Zn1 Zn 0.441 0.280 0.441 1
O1 O 0.193 0.186 0.193 1
O2 O 0.197 0.191 0.697 1
O3 O 0.381 0.500 0.614 1
O4 O 0.382 0.500 0.150 1
O5 O 0.485 0.000 0.706 1
O6 O 0.486 0.000 0.265 1


# PBE with a Hubbard U MgMn4Zn2O8, relaxed
# M_tot ... 0.93 μB per atom
# Excess energy over the best structure of this formula in the dataset ... 160.0 meV/atom
data_MgMn4Zn2O8
_cell_length_a 5.979
_cell_length_b 6.241
_cell_length_c 6.241
_cell_angle_alpha 95.59
_cell_angle_beta 116.45
_cell_angle_gamma 116.70
_space_group_name_H-M_alt 'P 1'
_space_group_IT_number 1
loop_
_space_group_symop_operation_xyz
'x,y,z'
loop_
_atom_site_label
_atom_site_type_symbol
_atom_site_fract_x
_atom_site_fract_y
_atom_site_fract_z
_atom_site_occupancy
Mg1 Mg 0.000 0.000 0.000 1
Mn1 Mn 0.011 0.974 0.518 1
Mn2 Mn 0.246 0.566 0.437 1
Mn3 Mn 0.500 0.483 0.033 1
Mn4 Mn 0.505 0.994 0.002 1
Zn1 Zn 0.576 0.090 0.499 1
Zn2 Zn 0.940 0.505 0.909 1
O1 O 0.000 0.690 0.246 1
O2 O 0.011 0.239 0.795 1
O3 O 0.069 0.786 0.790 1
O4 O 0.463 0.202 0.212 1
O5 O 0.498 0.217 0.752 1
O6 O 0.509 0.738 0.330 1
O7 O 0.532 0.739 0.812 1
O8 O 0.955 0.188 0.258 1


| no. | E_tot (eV per atom) | ΔH_f (0 K) (eV per atom) |
| --- | --- | --- |
| 1 | -6.153 | -1.999 |
| 2 | -7.885 | -2.877 |
| 3 | -6.512 | -1.967 |
| 4 | -5.996 | -2.892 |
| 5 | -6.508 | -1.963 |
| 6 | -6.007 | -2.730 |
| 7 | -6.466 | -1.921 |
| 8 | -6.477 | -1.931 |
| 9 | -6.623 | -1.941 |
| 10 | -6.506 | -1.961 |
| 11 | -6.430 | -1.884 |
| 12 | -6.357 | -1.811 |